# 1
Na3Zr2Si2PO12 | GGA-PBE | optimized geometry

a = 9.197 Å, b = 9.202 Å, c = 9.221 Å
α = 89.98°, β = 60.26°, γ = 60.09°
Fractional positions:
Na 0.000 0.000 0.000
Na 0.004 0.221 0.499
Na 0.378 0.351 0.966
Na 0.488 0.634 0.755
Na 0.497 0.124 0.261
Na 0.608 0.739 0.052
Zr 0.202 0.753 0.200
Zr 0.207 0.251 0.696
Zr 0.778 0.469 0.320
Zr 0.794 0.955 0.815
Si 0.278 0.072 0.022
Si 0.295 0.857 0.509
Si 0.708 0.356 0.996
Si 0.997 0.650 0.005
P 0.698 0.153 0.507
P 0.995 0.561 0.507
O 0.075 0.910 0.684
O 0.077 0.237 0.204
O 0.108 0.602 0.341
O 0.138 0.476 0.833
O 0.153 0.678 0.018
O 0.156 0.384 0.505
O 0.262 0.117 0.856
O 0.292 0.886 0.025
O 0.300 0.811 0.333
O 0.302 0.032 0.507
O 0.481 0.688 0.507
O 0.482 0.040 0.997
O 0.506 0.529 0.018
O 0.521 0.175 0.507
O 0.686 0.114 0.676
O 0.688 0.188 0.990
O 0.693 0.324 0.508
O 0.724 0.383 0.162
O 0.833 0.834 0.998
O 0.838 0.538 0.510
O 0.857 0.613 0.176
O 0.877 0.717 0.675
O 0.904 0.995 0.341
O 0.910 0.322 0.815

The spin magnetization comes out at 0.003 Bohr magnetons per cell. The calculation puts the total energy after the MP2020 corrections at -318.688 eV for the cell shown. The polymorph energy (0 for the lowest one) is 17 meV/atom.


# 2
W | GGA-PBE | optimized geometry

a = 2.783 Å, b = 2.783 Å, c = 4.954 Å
α = 90.00°, β = 90.00°, γ = 120.00°
Fractional positions:
W 0.333 0.667 0.250
W 0.667 0.333 0.750

The spin magnetization comes out at 0.000 Bohr magnetons per cell. The polymorph energy (0 for the lowest one) is 496 meV/atom.


# 3
TmRh2Pb | GGA-PBE | optimized geometry

a = 4.740 Å, b = 4.740 Å, c = 4.740 Å
α = 60.00°, β = 60.00°, γ = 60.00°
Fractional positions:
Tm 0.000 0.000 0.000
Rh 0.250 0.250 0.250
Rh 0.750 0.750 0.750
Pb 0.500 0.500 0.500

The value obtained for the final energy is -6.3164 eV/atom.


What did the second record say?
W | GGA-PBE | optimized geometry

a = 2.783 Å, b = 2.783 Å, c = 4.954 Å
α = 90.00°, β = 90.00°, γ = 120.00°
Fractional positions:
W 0.333 0.667 0.250
W 0.667 0.333 0.750

The spin magnetization comes out at 0.000 Bohr magnetons per cell. The polymorph energy (0 for the lowest one) is 496 meV/atom.